A relaxed structure of Ca3Ga8. Source: the Materials Project, functional r2SCAN.

Summary:
V: 21.27 A^3/atom
Spin magnetization: 0.000 μB per cell
Electronic total energy: -118.33 eV per formula unit

Unit cell a=4.2679 b=4.2978 c=13.1093 alpha=99.43 beta=99.37 gamma=90.00
Fractional coordinates of all 11 atoms:
Ca: 0.0000 0.0000 0.0000
Ca: 0.3542 0.8542 0.7084
Ca: 0.6458 0.1458 0.2916
Ga: 0.2504 0.2504 0.5007
Ga: 0.7496 0.7496 0.4993
Ga: 0.4517 0.4517 0.9035
Ga: 0.5483 0.5483 0.0965
Ga: 0.0946 0.5946 0.1891
Ga: 0.9054 0.4054 0.8109
Ga: 0.1910 0.6910 0.3820
Ga: 0.8090 0.3090 0.6180